A plane-wave DFT calculation with r2SCAN was carried out for Ce4SiRh12 after structural relaxation.

Cell: 7.1463 7.1463 7.1463 Å, 109.47 109.47 109.47°
Last column: nearest neighbours and their distance in Å.
Fractional coordinates of all 17 atoms:
Ce: 0.0000 0.0000 0.5000  12 Rh 2.92-2.93
Ce: 0.0000 0.5000 0.0000  12 Rh 2.92-2.93
Ce: 0.5000 0.0000 0.0000  12 Rh 2.92-2.93
Ce: 0.5000 0.5000 0.5000  12 Rh 2.92-2.93
Si: 0.0000 0.0000 0.0000  6 Rh 2.31
Rh: 0.7500 0.2500 0.5000  8 Rh 2.75-2.92, 4 Ce 2.92
Rh: 0.7500 0.5000 0.2500  8 Rh 2.75-2.92, 4 Ce 2.92
Rh: 0.5000 0.2500 0.7500  8 Rh 2.75-2.92, 4 Ce 2.92
Rh: 0.2500 0.5000 0.7500  8 Rh 2.75-2.92, 4 Ce 2.92
Rh: 0.2500 0.7500 0.5000  8 Rh 2.75-2.92, 4 Ce 2.92
Rh: 0.5000 0.7500 0.2500  8 Rh 2.75-2.92, 4 Ce 2.92
Rh: 0.7204 0.7204 0.0000  1 Si 2.31
Rh: 0.2796 0.0000 0.2796  1 Si 2.31
Rh: 0.0000 0.2796 0.2796  1 Si 2.31
Rh: 0.2796 0.2796 0.0000  1 Si 2.31
Rh: 0.7204 0.0000 0.7204  1 Si 2.31
Rh: 0.0000 0.7204 0.7204  1 Si 2.31

- calculated formation energy (meV/atom) = -751
- calculated density (Mg/m³) = 10.78
- DFT total energy (eV per atom) = -25.561
- total magnetic moment (μB per formula unit) = 0.2
- SG = Im-3m